# 1
This record from the Materials Project database describes a relaxed structure of BaPrO3. The functional is PBE.

Properties
Energy (eV/atom): -6.87
Crystal system: orthorhombic
Energy of formation (meV/atom): -2978
M_tot (μB per atom): 0.200

Geometry as CIF:
```
data_BaPrO3
_cell_length_a 6.497
_cell_length_b 9.107
_cell_length_c 6.410
_cell_angle_alpha 90.00
_cell_angle_beta 90.00
_cell_angle_gamma 90.00
_symmetry_space_group_name_H-M 'P n m a'
_symmetry_Int_Tables_number 62
loop_
_symmetry_equiv_pos_as_xyz
'x,y,z'
'-x,-y,-z'
'-x+1/2,-y,z+1/2'
'x+1/2,y,-z+1/2'
'x+1/2,-y+1/2,-z+1/2'
'-x+1/2,y+1/2,z+1/2'
'-x,y+1/2,-z'
'x,-y+1/2,z'
loop_
_atom_site_label
_atom_site_fract_x
_atom_site_fract_y
_atom_site_fract_z
_atom_site_occupancy
Ba1 0.037 0.250 0.016 1
Pr1 0.000 0.000 0.500 1
O1 0.037 0.750 0.401 1
O2 0.218 0.556 0.783 1
```



# 2
This record from the Materials Project database describes a relaxed structure of Pb3ClO3. The functional is PBE.

Properties
Energy (eV/atom): -4.97
Crystal system: orthorhombic
Energy of formation (meV/atom): -1291
M_tot (μB per atom): 0.000

Geometry as CIF:
```
data_Pb3ClO3
_cell_length_a 5.898
_cell_length_b 6.878
_cell_length_c 16.499
_cell_angle_alpha 90.00
_cell_angle_beta 90.00
_cell_angle_gamma 90.00
_symmetry_space_group_name_H-M 'P m c 21'
_symmetry_Int_Tables_number 26
loop_
_symmetry_equiv_pos_as_xyz
'x,y,z'
'-x,-y,z+1/2'
'-x,y,z'
'x,-y,z+1/2'
loop_
_atom_site_label
_atom_site_fract_x
_atom_site_fract_y
_atom_site_fract_z
_atom_site_occupancy
Pb1 0.000 0.023 0.000 1
Pb2 0.000 0.207 0.201 1
Pb3 0.000 0.332 0.832 1
Pb4 0.500 0.030 0.353 1
Pb5 0.500 0.188 0.598 1
Pb6 0.500 0.316 0.029 1
Cl1 0.000 0.349 0.528 1
Cl2 0.500 0.435 0.250 1
O1 0.000 0.037 0.783 1
O2 0.242 0.191 0.929 1
O3 0.246 0.085 0.095 1
O4 0.500 0.185 0.466 1
```



# 3
This record from the Materials Project database describes a relaxed structure of Ce3Sn7. The functional is PBE.

Properties
Energy (eV/atom): -5.17
Crystal system: orthorhombic
Energy of formation (meV/atom): -588

Geometry as CIF:
```
data_Ce3Sn7
_cell_length_a 4.580
_cell_length_b 25.345
_cell_length_c 4.645
_cell_angle_alpha 90.00
_cell_angle_beta 90.00
_cell_angle_gamma 90.00
_symmetry_space_group_name_H-M 'C m m m'
_symmetry_Int_Tables_number 65
_symmetry_space_group_name_Hall '-C 2 2'
loop_
_atom_site_label
_atom_site_fract_x
_atom_site_fract_y
_atom_site_fract_z
_atom_site_occupancy
Ce1 0.000 0.000 0.000 1
Ce2 0.000 0.185 0.000 1
Sn1 0.000 0.096 0.500 1
Sn2 0.000 0.292 0.500 1
Sn3 0.000 0.405 0.000 1
Sn4 0.000 0.500 0.500 1
```